## A
# Li3Sn2P3O12

A relaxed structure of Li3Sn2P3O12 (PBE, the Materials Project).

a = 5.0543 Å, b = 5.0543 Å, c = 20.4242 Å
α = 89.82°, β = 89.82°, γ = 66.37°
Positions (direct):
O  0.7468  0.7468  0.3169
O  0.7595  0.7595  0.1929
O  0.3095  0.7585  0.2505
P  0.6410  0.6410  0.5858
P  0.6424  0.6424  0.8965
Li  0.6672  0.6672  0.7257
P  0.3576  0.3576  0.1035
P  0.6529  0.6529  0.2552
O  0.2405  0.2405  0.8071
Sn  0.0011  0.0011  0.1800
O  0.2999  0.7649  0.8934
O  0.2395  0.2395  0.3577
O  0.2532  0.2532  0.6831
O  0.2711  0.2711  0.0387
Li  0.0065  0.0065  0.3505
O  0.6905  0.2415  0.7495
O  0.7605  0.7605  0.6423
O  0.3048  0.7522  0.5927
O  0.7649  0.2999  0.8934
Sn  0.0000  0.0000  0.5000
O  0.7001  0.2351  0.1066
Sn  0.0000  0.0000  0.0000
P  0.3471  0.3471  0.7448
Li  0.9935  0.9935  0.6495
O  0.7522  0.3048  0.5927
O  0.2415  0.6905  0.7495
Li  0.3357  0.3357  0.5876
Li  0.6643  0.6643  0.4124
Li  0.3328  0.3328  0.2743
P  0.3590  0.3590  0.4142
O  0.2351  0.7001  0.1066
O  0.2488  0.2488  0.1660
O  0.6952  0.2478  0.4073
Sn  0.9989  0.9989  0.8200
O  0.7176  0.7176  0.5170
O  0.7512  0.7512  0.8340
O  0.7585  0.3095  0.2505
O  0.2824  0.2824  0.4830
O  0.7289  0.7289  0.9613
O  0.2478  0.6952  0.4073

Values from the calculation:
- Total moment: 0.1 μB per formula unit

=====

## B
# Li3Sn2P3O12

A relaxed structure of Li3Sn2P3O12 (PBE, the Materials Project).

a = 10.1762 Å, b = 10.1762 Å, c = 10.1762 Å
α = 50.46°, β = 50.46°, γ = 50.46°
Positions (direct):
O  0.2528  0.8310  0.1431
O  0.5980  0.7529  0.0163
O  0.0163  0.5980  0.7529
Sn  0.8370  0.8370  0.8370
O  0.4981  0.5057  0.1521
O  0.8489  0.4649  0.7836
O  0.9837  0.4020  0.2471
O  0.1521  0.4981  0.5057
P  0.7215  0.0473  0.4514
P  0.2785  0.9527  0.5486
P  0.0473  0.4514  0.7215
Li  0.3294  0.0572  0.7548
O  0.8310  0.1431  0.2528
P  0.9527  0.5486  0.2785
O  0.1690  0.8569  0.7472
Li  0.0572  0.7548  0.3294
Sn  0.6575  0.6575  0.6575
O  0.8479  0.5019  0.4943
O  0.5057  0.1521  0.4981
O  0.8569  0.7472  0.1690
O  0.4649  0.7836  0.8489
P  0.4514  0.7215  0.0473
O  0.2471  0.9837  0.4020
Li  0.6706  0.9428  0.2452
Sn  0.3425  0.3425  0.3425
O  0.4943  0.8479  0.5019
O  0.1431  0.2528  0.8310
Li  0.7548  0.3294  0.0572
O  0.4020  0.2471  0.9837
Li  0.2452  0.6706  0.9428
Sn  0.1630  0.1630  0.1630
O  0.7529  0.0163  0.5980
O  0.5351  0.2164  0.1511
P  0.5486  0.2785  0.9527
O  0.5019  0.4943  0.8479
Li  0.9428  0.2452  0.6706
O  0.1511  0.5351  0.2164
O  0.7836  0.8489  0.4649
O  0.7472  0.1690  0.8569
O  0.2164  0.1511  0.5351

Values from the calculation:
- Total moment: 0.0 μB per formula unit

=====

We find B to be the most stable, with the next structure 44 meV/atom higher.

=====

## A
# Li3Sn3P4O16

A relaxed structure of Li3Sn3P4O16 (PBE, the Materials Project).

a = 8.6341 Å, b = 9.2307 Å, c = 13.4011 Å
α = 92.57°, β = 90.76°, γ = 90.98°
Positions (direct):
O  0.3177  0.6414  0.2631
P  0.1898  0.8516  0.0617
O  0.1893  0.8289  0.9443
O  0.8835  0.9345  0.5708
Li  0.8768  0.7610  0.1585
O  0.6774  0.4967  0.9437
O  0.8512  0.3202  0.2516
O  0.8795  0.9809  0.9111
O  0.3681  0.5464  0.7506
O  0.6363  0.8220  0.2535
O  0.3369  0.8396  0.3995
O  0.8171  0.5118  0.3949
O  0.3650  0.5061  0.0877
Sn  0.0039  0.8273  0.8374
O  0.8754  0.3359  0.5611
P  0.8007  0.8036  0.6154
O  0.6534  0.1436  0.9170
O  0.6846  0.7000  0.0749
O  0.7021  0.3188  0.7127
Li  0.8566  0.1025  0.4880
O  0.1163  0.6756  0.7501
O  0.3256  0.1776  0.7630
O  0.1340  0.6399  0.4051
Li  0.6252  0.9256  0.8321
O  0.0815  0.7471  0.1095
O  0.8620  0.9945  0.2233
P  0.3028  0.0162  0.7325
Li  0.1218  0.5752  0.1784
O  0.6303  0.7957  0.5772
O  0.8539  0.1629  0.0541
O  0.8794  0.6575  0.5805
P  0.3086  0.6724  0.3798
O  0.0731  0.0836  0.4484
Li  0.3590  0.0524  0.1738
O  0.5814  0.0836  0.2136
P  0.1988  0.5319  0.7159
O  0.1280  0.9808  0.7589
O  0.8739  0.6971  0.9323
P  0.2805  0.3558  0.0640
O  0.6657  0.1500  0.5650
P  0.8122  0.4862  0.2780
P  0.8276  0.1362  0.9370
P  0.1844  0.1889  0.3971
Sn  0.4988  0.6714  0.1674
O  0.3635  0.8369  0.1007
O  0.1148  0.4005  0.7580
Sn  0.1246  0.8816  0.5259
Sn  0.0024  0.5008  0.4958
Sn  0.5115  0.9932  0.4958
P  0.7020  0.3114  0.5968
O  0.7028  0.0194  0.3815
Sn  0.6246  0.2830  0.1228
O  0.2595  0.3345  0.9514
O  0.1879  0.5157  0.5978
Li  0.6230  0.5955  0.4933
Sn  0.8706  0.4495  0.8085
O  0.4176  0.9180  0.7798
Li  0.1429  0.2359  0.8406
O  0.9192  0.5884  0.2278
O  0.9274  0.2461  0.8820
Sn  0.4819  0.3440  0.8377
O  0.8123  0.8193  0.7326
P  0.6934  0.9833  0.2676
Sn  0.0081  0.1660  0.1719
O  0.3149  0.0037  0.6143
O  0.5892  0.4144  0.5523
O  0.1316  0.3475  0.4161
O  0.3540  0.1801  0.4331
O  0.1498  0.0144  0.0913
P  0.6998  0.6626  0.9581
O  0.1770  0.1528  0.2804
O  0.3753  0.2335  0.1088
O  0.5855  0.7508  0.9013
Li  0.3807  0.4059  0.5028
O  0.4216  0.5810  0.4344
O  0.6366  0.5066  0.2451
O  0.1191  0.3551  0.1190
Li  0.3847  0.7380  0.8406

Values from the calculation:
- Total moment: 0.3 μB per formula unit

=====

## B
# Li3Sn3P4O16

A relaxed structure of Li3Sn3P4O16 (PBE, the Materials Project).

a = 12.3889 Å, b = 6.4569 Å, c = 8.9440 Å
α = 76.46°, β = 90.00°, γ = 90.00°
Positions (direct):
O  0.4387  0.1641  0.1647
O  0.8836  0.9010  0.2901
O  0.5645  0.3378  0.8582
O  0.9387  0.8359  0.8353
O  0.1240  0.6014  0.6935
Li  0.0774  0.3463  0.9096
Li  0.9010  0.1605  0.0835
Li  0.4010  0.8395  0.9165
Sn  0.5851  0.0880  0.2823
O  0.1833  0.8541  0.9309
O  0.9947  0.5352  0.4862
O  0.3173  0.9544  0.4838
O  0.8173  0.0456  0.5162
O  0.7096  0.1003  0.7953
O  0.6921  0.5829  0.5163
O  0.6240  0.3986  0.3065
O  0.5230  0.9886  0.5292
P  0.8677  0.6393  0.9117
O  0.4295  0.5713  0.0696
O  0.8289  0.6685  0.0745
O  0.4088  0.7209  0.7203
O  0.6833  0.1459  0.0691
O  0.3289  0.3315  0.9255
Sn  0.4293  0.3975  0.7354
O  0.3836  0.0990  0.7099
Li  0.5774  0.6537  0.0904
O  0.4947  0.4648  0.5138
Li  0.2125  0.1208  0.3424
P  0.3677  0.3607  0.0883
Sn  0.3122  0.6357  0.3221
P  0.9087  0.0540  0.4020
O  0.0230  0.0114  0.4708
O  0.0501  0.0731  0.0512
P  0.6250  0.1179  0.9204
O  0.5501  0.9269  0.9488
P  0.1250  0.8821  0.0796
Li  0.7125  0.8792  0.6576
O  0.0688  0.2450  0.7086
O  0.2666  0.3692  0.1882
P  0.0974  0.4513  0.5843
O  0.7666  0.6308  0.8118
Sn  0.0851  0.9120  0.7177
O  0.2096  0.8997  0.2047
Sn  0.8122  0.3643  0.6779
P  0.5974  0.5487  0.4157
O  0.0645  0.6622  0.1418
O  0.5688  0.7550  0.2914
O  0.9088  0.2791  0.2797
O  0.9295  0.4287  0.9304
O  0.1921  0.4171  0.4837
Sn  0.9293  0.6025  0.2646
P  0.4087  0.9460  0.5980

Values from the calculation:
- Total moment: 0.0 μB per formula unit

=====

We find A to be the most stable, with the next structure 35 meV/atom higher.

=====

## A
# LiSn4P3O12

A relaxed structure of LiSn4P3O12 (PBE, the Materials Project).

a = 7.3162 Å, b = 10.6942 Å, c = 15.9001 Å
α = 90.00°, β = 90.00°, γ = 90.00°
Positions (direct):
O  0.0876  0.2054  0.9930
O  0.5407  0.0435  0.7500
O  0.4522  0.1569  0.1676
P  0.3548  0.6372  0.4113
Sn  0.8389  0.1544  0.1055
Sn  0.6611  0.6544  0.6055
O  0.5478  0.8431  0.6676
O  0.0052  0.0359  0.8825
Sn  0.3620  0.9319  0.0995
Sn  0.3389  0.3456  0.3945
Sn  0.3389  0.3456  0.1055
O  0.9593  0.5435  0.2500
O  0.0478  0.6569  0.6676
Sn  0.6380  0.0681  0.9005
O  0.2609  0.8923  0.7500
Sn  0.1380  0.4319  0.5995
O  0.5876  0.2946  0.5070
Sn  0.8620  0.5681  0.0995
O  0.6619  0.2597  0.8407
O  0.6683  0.9323  0.0784
O  0.6683  0.9323  0.4216
O  0.4948  0.5359  0.3825
O  0.9522  0.3431  0.3324
O  0.7391  0.1077  0.2500
O  0.0052  0.0359  0.6175
O  0.9948  0.9641  0.3825
P  0.3548  0.6372  0.0887
O  0.4593  0.9565  0.2500
O  0.4124  0.7054  0.4930
Sn  0.3620  0.9319  0.4005
O  0.3381  0.7403  0.1593
P  0.1452  0.1372  0.9113
O  0.4522  0.1569  0.3324
O  0.8317  0.4323  0.5784
O  0.7609  0.6077  0.7500
O  0.6619  0.2597  0.6593
O  0.0876  0.2054  0.5070
Li  0.5163  0.7645  0.2500
Li  0.0163  0.7355  0.2500
O  0.5052  0.4641  0.6175
P  0.6452  0.3628  0.9113
O  0.4124  0.7054  0.0070
Sn  0.1611  0.8456  0.8945
P  0.1452  0.1372  0.5887
O  0.8381  0.7597  0.3407
O  0.2391  0.3923  0.2500
O  0.1619  0.2403  0.6593
Li  0.9837  0.2645  0.7500
O  0.0478  0.6569  0.8324
O  0.9124  0.7946  0.4930
O  0.9124  0.7946  0.0070
P  0.9735  0.5974  0.7500
O  0.3317  0.0677  0.9216
O  0.8381  0.7597  0.1593
O  0.5052  0.4641  0.8825
O  0.4948  0.5359  0.1175
O  0.5478  0.8431  0.8324
O  0.3317  0.0677  0.5784
Sn  0.6380  0.0681  0.5995
Sn  0.8620  0.5681  0.4005
P  0.4735  0.9026  0.7500
O  0.5876  0.2946  0.9930
Sn  0.1380  0.4319  0.9005
P  0.0265  0.4026  0.2500
O  0.0407  0.4565  0.7500
O  0.8317  0.4323  0.9216
O  0.1683  0.5677  0.0784
Li  0.4837  0.2355  0.7500
P  0.5265  0.0974  0.2500
Sn  0.6611  0.6544  0.8945
O  0.3381  0.7403  0.3407
O  0.1683  0.5677  0.4216
Sn  0.1611  0.8456  0.6055
O  0.9948  0.9641  0.1175
P  0.6452  0.3628  0.5887
P  0.8548  0.8628  0.4113
O  0.9522  0.3431  0.1676
Sn  0.8389  0.1544  0.3945
P  0.8548  0.8628  0.0887
O  0.1619  0.2403  0.8407

Values from the calculation:
- Total moment: 0.0 μB per formula unit

=====

## B
# LiSn4P3O12

A relaxed structure of LiSn4P3O12 (PBE, the Materials Project).

a = 9.6949 Å, b = 9.6949 Å, c = 7.1056 Å
α = 90.00°, β = 90.00°, γ = 120.00°
Positions (direct):
P  0.3854  0.4024  0.7510
Sn  0.9825  0.7408  0.2468
P  0.0170  0.6146  0.7510
O  0.6739  0.1661  0.7364
O  0.1661  0.4922  0.2364
O  0.0859  0.7284  0.5768
P  0.4024  0.0170  0.2510
Sn  0.6667  0.3333  0.9709
P  0.6146  0.5976  0.2510
O  0.6426  0.9141  0.5768
O  0.3574  0.0859  0.0768
O  0.0718  0.7278  0.9247
Sn  0.2417  0.9825  0.7468
O  0.3261  0.8339  0.2364
O  0.2722  0.3440  0.9247
O  0.4901  0.5886  0.7616
O  0.9141  0.2716  0.0768
O  0.5078  0.6739  0.2364
O  0.5099  0.4114  0.2616
O  0.4114  0.9016  0.7616
O  0.0984  0.5099  0.7616
O  0.9016  0.4901  0.2616
O  0.5886  0.0984  0.2616
O  0.7284  0.6426  0.0768
P  0.9830  0.3854  0.2510
O  0.3440  0.0718  0.4247
O  0.9282  0.2722  0.4247
Sn  0.0175  0.2592  0.7468
Sn  0.2592  0.2417  0.2468
O  0.4922  0.3261  0.7364
Sn  0.3333  0.6667  0.4709
Sn  0.7408  0.7583  0.7468
O  0.2716  0.3574  0.5768
Sn  0.7583  0.0175  0.2468
Li  0.3333  0.6667  0.0369
O  0.8339  0.5078  0.7364
P  0.5976  0.9830  0.7510
O  0.7278  0.6560  0.4247
Li  0.6667  0.3333  0.5369
O  0.6560  0.9282  0.9247

Values from the calculation:
- Total moment: 0.0 μB per formula unit

=====

## C
# LiSn4P3O12

A relaxed structure of LiSn4P3O12 (PBE, the Materials Project).

a = 10.0055 Å, b = 10.0055 Å, c = 10.0055 Å
α = 58.55°, β = 58.55°, γ = 58.55°
Positions (direct):
O  0.1203  0.9752  0.3151
O  0.7430  0.6890  0.2561
O  0.3151  0.1203  0.9752
P  0.2908  0.7336  0.8294
O  0.9752  0.3151  0.1203
Li  0.5431  0.5431  0.5431
O  0.9116  0.8111  0.2585
O  0.0003  0.1722  0.6550
O  0.5003  0.1550  0.6722
O  0.2561  0.7430  0.6890
Sn  0.1903  0.1903  0.1903
P  0.8294  0.2908  0.7336
O  0.7585  0.3111  0.4116
O  0.6722  0.5003  0.1550
Sn  0.0871  0.6282  0.7572
O  0.6203  0.8151  0.4752
O  0.4752  0.6203  0.8151
Sn  0.7572  0.0871  0.6282
Sn  0.6903  0.6903  0.6903
P  0.7908  0.3294  0.2336
O  0.8111  0.2585  0.9116
O  0.7561  0.1890  0.2430
O  0.8151  0.4752  0.6203
O  0.6550  0.0003  0.1722
O  0.2430  0.7561  0.1890
P  0.7336  0.8294  0.2908
Li  0.0431  0.0431  0.0431
O  0.4116  0.7585  0.3111
P  0.3294  0.2336  0.7908
Sn  0.6282  0.7572  0.0871
O  0.3111  0.4116  0.7585
Sn  0.5871  0.2572  0.1282
O  0.1550  0.6722  0.5003
O  0.6890  0.2561  0.7430
P  0.2336  0.7908  0.3294
O  0.1722  0.6550  0.0003
Sn  0.2572  0.1282  0.5871
O  0.1890  0.2430  0.7561
O  0.2585  0.9116  0.8111
Sn  0.1282  0.5871  0.2572

Values from the calculation:
- Total moment: 0.0 μB per formula unit

=====

We find C to be the most stable, with the next structure 9 meV/atom higher.